[1]
The following is a DFT calculation (PBE-GGA) of an optimized crystal structure of Te2Mo3WSe4S2.

Structure (CIF):
```
data_Te2Mo3WSe4S2
_symmetry_space_group_name_H-M 'P 3 m 1'
_symmetry_Int_Tables_number 156
_symmetry_space_group_name_Hall 'P 3 -2"'
_cell_length_a 3.3471
_cell_length_b 3.3471
_cell_length_c 38.0972
_cell_angle_alpha 90.00
_cell_angle_beta 90.00
_cell_angle_gamma 120.00
loop_
_atom_site_label
_atom_site_type_symbol
_atom_site_fract_x
_atom_site_fract_y
_atom_site_fract_z
_atom_site_occupancy
Te1 Te 0.0000 0.0000 0.0000 1
Te2 Te 0.0000 0.0000 0.1001 1
Mo1 Mo 0.0000 0.0000 0.2380 1
Mo2 Mo 0.0000 0.0000 0.8622 1
Mo3 Mo 0.6667 0.3333 0.6744 1
W1 W 0.6667 0.3333 0.0501 1
Se1 Se 0.0000 0.0000 0.6306 1
Se2 Se 0.0000 0.0000 0.7181 1
Se3 Se 0.6667 0.3333 0.1943 1
Se4 Se 0.6667 0.3333 0.2818 1
S1 S 0.6667 0.3333 0.8224 1
S2 S 0.6667 0.3333 0.9020 1
```

***

[2]
The following is a DFT calculation (PBE-GGA) of an optimized crystal structure of TeMoWSe2S.

Structure (CIF):
```
data_TeMoWSe2S
_symmetry_space_group_name_H-M 'P 3 m 1'
_symmetry_Int_Tables_number 156
_symmetry_space_group_name_Hall 'P 3 -2"'
_cell_length_a 3.3466
_cell_length_b 3.3466
_cell_length_c 38.1074
_cell_angle_alpha 90.00
_cell_angle_beta 90.00
_cell_angle_gamma 120.00
loop_
_atom_site_label
_atom_site_type_symbol
_atom_site_fract_x
_atom_site_fract_y
_atom_site_fract_z
_atom_site_occupancy
Te1 Te 0.0000 0.0000 0.0000 1
Te2 Te 0.0000 0.0000 0.1001 1
Mo1 Mo 0.0000 0.0000 0.4864 1
Mo2 Mo 0.0000 0.0000 0.8621 1
W1 W 0.3333 0.6667 0.0501 1
W2 W 0.3333 0.6667 0.6743 1
Se1 Se 0.0000 0.0000 0.6303 1
Se2 Se 0.0000 0.0000 0.7182 1
Se3 Se 0.3333 0.6667 0.8184 1
Se4 Se 0.3333 0.6667 0.9059 1
S1 S 0.3333 0.6667 0.4466 1
S2 S 0.3333 0.6667 0.5262 1
```

***

[3]
The following is a DFT calculation (PBE-GGA) of an optimized crystal structure of Te2Mo3WSe2S4.

Structure (CIF):
```
data_Te2Mo3WSe2S4
_symmetry_space_group_name_H-M 'P 3 m 1'
_symmetry_Int_Tables_number 156
_symmetry_space_group_name_Hall 'P 3 -2"'
_cell_length_a 3.3055
_cell_length_b 3.3055
_cell_length_c 38.6506
_cell_angle_alpha 90.00
_cell_angle_beta 90.00
_cell_angle_gamma 120.00
loop_
_atom_site_label
_atom_site_type_symbol
_atom_site_fract_x
_atom_site_fract_y
_atom_site_fract_z
_atom_site_occupancy
Te1 Te 0.0000 0.0000 0.0000 1
Te2 Te 0.0000 0.0000 0.0990 1
Mo1 Mo 0.0000 0.0000 0.2401 1
Mo2 Mo 0.0000 0.0000 0.8617 1
Mo3 Mo 0.3333 0.6667 0.0495 1
W1 W 0.3333 0.6667 0.4267 1
Se1 Se 0.3333 0.6667 0.1966 1
Se2 Se 0.3333 0.6667 0.2835 1
S1 S 0.0000 0.0000 0.3870 1
S2 S 0.0000 0.0000 0.4664 1
S3 S 0.3333 0.6667 0.8222 1
S4 S 0.3333 0.6667 0.9013 1
```

***

[4]
The following is a DFT calculation (PBE-GGA) of an optimized crystal structure of Te2MoW3Se2S4.

Structure (CIF):
```
data_Te2MoW3Se2S4
_symmetry_space_group_name_H-M 'P 3 m 1'
_symmetry_Int_Tables_number 156
_symmetry_space_group_name_Hall 'P 3 -2"'
_cell_length_a 3.3084
_cell_length_b 3.3084
_cell_length_c 37.6847
_cell_angle_alpha 90.00
_cell_angle_beta 90.00
_cell_angle_gamma 120.00
loop_
_atom_site_label
_atom_site_type_symbol
_atom_site_fract_x
_atom_site_fract_y
_atom_site_fract_z
_atom_site_occupancy
Te1 Te 0.0000 0.0000 0.0000 1
Te2 Te 0.0000 0.0000 0.1021 1
Mo1 Mo 0.0000 0.0000 0.8632 1
W1 W 0.0000 0.0000 0.2390 1
W2 W 0.3333 0.6667 0.0511 1
W3 W 0.3333 0.6667 0.4268 1
Se1 Se 0.0000 0.0000 0.3820 1
Se2 Se 0.0000 0.0000 0.4716 1
S1 S 0.3333 0.6667 0.1982 1
S2 S 0.3333 0.6667 0.2796 1
S3 S 0.3333 0.6667 0.8226 1
S4 S 0.3333 0.6667 0.9037 1
```

***

Number 1: energy above the most stable polymorph in this dataset 3.6 kJ/mol of atoms, M_tot 0.001 μB per atom. Number 2: energy above the most stable polymorph in this dataset 3.6 kJ/mol of atoms, M_tot 0.000 μB per atom. Number 3: energy above the most stable polymorph in this dataset 0.0 kJ/mol of atoms, M_tot 0.000 μB per atom. Number 4: energy above the most stable polymorph in this dataset 3.7 kJ/mol of atoms, M_tot 0.000 μB per atom.